VASP calculation (r2SCAN) on crystalline SrAcTl2 at its relaxed geometry.

Properties
Formation energy: -490 meV/atom

abc: 8.1972 8.1972 8.1972
angles: 90.00 90.00 90.00
Space group Fm-3m (No. 225)
Inequivalent atoms, fractional coordinates:
Sr 0.0000 0.0000 0.0000 x4
Ac 0.0000 0.0000 0.5000 x4
Tl 0.2500 0.2500 0.2500 x8